1.
{
  "formula": "K2PtCl4",
  "functional": "PBE",
  "state": "optimized geometry",
  "lattice": [[-0.9294, -0.0997, -7.0441], [-3.5026, -6.1582, 0.5493], [-3.6656, 2.1253, 0.4536]],
  "species": ["K", "K", "Cl", "Cl", "Cl", "Cl", "Pt"],
  "frac_coords": [[0.5000, 0.0000, 0.5000], [0.0000, 0.5000, 0.5000], [0.7683, 0.7683, 0.0000], [0.2317, 0.7683, 0.0000], [0.7683, 0.2317, 0.0000], [0.2317, 0.2317, 0.0000], [0.0000, 0.0000, 0.0000]],
  "volume_a3_per_atom": 30.74,
  "ef_ev_per_atom": -1.687
}



2.
{
  "formula": "SrHgPb",
  "functional": "PBE",
  "state": "optimized geometry",
  "lattice": [[-2.5628, -4.4389, 0.0000], [-2.5628, 4.4389, 0.0000], [0.0000, 0.0000, -8.2997]],
  "species": ["Pb", "Pb", "Hg", "Hg", "Sr", "Sr"],
  "frac_coords": [[0.3333, 0.6667, 0.6197], [0.6667, 0.3333, 0.1197], [0.3333, 0.6667, 0.0256], [0.6667, 0.3333, 0.5256], [0.0000, 0.0000, 0.3346], [0.0000, 0.0000, 0.8346]],
  "volume_a3_per_atom": 31.47,
  "ef_ev_per_atom": -0.466
}



3.
{
  "formula": "KSmSe2O8",
  "functional": "PBE",
  "state": "optimized geometry",
  "lattice": [[-1.7521, -6.6213, -2.8982], [8.5488, -1.2891, -2.2230], [2.1141, -4.8295, 9.7554]],
  "species": ["Sm", "Sm", "Sm", "Sm", "O", "O", "O", "O", "O", "O", "O", "O", "O", "O", "O", "O", "O", "O", "O", "O", "O", "O", "O", "O", "O", "O", "O", "O", "O", "O", "O", "O", "O", "O", "O", "O", "K", "K", "K", "K", "Se", "Se", "Se", "Se", "Se", "Se", "Se", "Se"],
  "frac_coords": [[0.1665, 0.9457, 0.8482], [0.3335, 0.9457, 0.3482], [0.8335, 0.0543, 0.1518], [0.6665, 0.0543, 0.6518], [0.1823, 0.7547, 0.6938], [0.7462, 0.2949, 0.0473], [0.5200, 0.4079, 0.3675], [0.3268, 0.1254, 0.9671], [0.4483, 0.8898, 0.5562], [0.7538, 0.2949, 0.5473], [0.5018, 0.9075, 0.8150], [0.4800, 0.5921, 0.6325], [0.1439, 0.3708, 0.6040], [0.6732, 0.8746, 0.0329], [0.1732, 0.1254, 0.4671], [0.1571, 0.1368, 0.1967], [0.6439, 0.6292, 0.8960], [0.8268, 0.8746, 0.5329], [0.8177, 0.2453, 0.3062], [0.4982, 0.0925, 0.1850], [0.2462, 0.7051, 0.4527], [0.8429, 0.8632, 0.8033], [0.3561, 0.3708, 0.1040], [0.8561, 0.6292, 0.3960], [0.9982, 0.9075, 0.3150], [0.6823, 0.2453, 0.8062], [0.2538, 0.7051, 0.9527], [0.3177, 0.7547, 0.1938], [0.9800, 0.4079, 0.8675], [0.9483, 0.1102, 0.9438], [0.3429, 0.1368, 0.6967], [0.0200, 0.5921, 0.1325], [0.5517, 0.1102, 0.4438], [0.0517, 0.8898, 0.0562], [0.0018, 0.0925, 0.6850], [0.6571, 0.8632, 0.3033], [0.6477, 0.5642, 0.1600], [0.3523, 0.4358, 0.8400], [0.8523, 0.5642, 0.6600], [0.1477, 0.4358, 0.3400], [0.8412, 0.2749, 0.9108], [0.3345, 0.1879, 0.1073], [0.6588, 0.2749, 0.4108], [0.1655, 0.1879, 0.6073], [0.8345, 0.8121, 0.3927], [0.6655, 0.8121, 0.8927], [0.1588, 0.7251, 0.0892], [0.3412, 0.7251, 0.5892]],
  "magnetic_moment_mub_per_cell": 0.002,
  "volume_a3_per_atom": 15.33,
  "ef_ev_per_atom": -2.011
}



4.
{
  "formula": "Rb3GaI6",
  "functional": "PBE",
  "state": "optimized geometry",
  "lattice": [[0.0000, 6.2833, 6.2833], [6.2833, 0.0000, 6.2833], [6.2833, 6.2833, 0.0000]],
  "species": ["Ga", "I", "I", "I", "I", "I", "I", "Rb", "Rb", "Rb"],
  "frac_coords": [[0.0000, 0.0000, 0.0000], [0.2239, 0.7761, 0.2239], [0.7761, 0.2239, 0.2239], [0.7761, 0.2239, 0.7761], [0.2239, 0.7761, 0.7761], [0.7761, 0.7761, 0.2239], [0.2239, 0.2239, 0.7761], [0.7500, 0.7500, 0.7500], [0.5000, 0.5000, 0.5000], [0.2500, 0.2500, 0.2500]],
  "magnetic_moment_mub_per_cell": 0.002,
  "volume_a3_per_atom": 49.61,
  "ef_ev_per_atom": -1.207
}



5.
{
  "formula": "Cs3HSe2O8",
  "functional": "PBE",
  "state": "optimized geometry",
  "lattice": [[7.4437, -4.8032, 0.1446], [8.6119, 1.3559, -1.5800], [3.7657, 2.1873, 10.3630]],
  "species": ["H", "H", "O", "O", "O", "O", "O", "O", "O", "O", "O", "O", "O", "O", "O", "O", "O", "O", "Se", "Se", "Se", "Se", "Cs", "Cs", "Cs", "Cs", "Cs", "Cs"],
  "frac_coords": [[0.0000, 0.0000, 0.5000], [0.0000, 0.0000, 0.0000], [0.1518, 0.8278, 0.4496], [0.0755, 0.6164, 0.6142], [0.1720, 0.1387, 0.0986], [0.6876, 0.5582, 0.6055], [0.3836, 0.9245, 0.8858], [0.8482, 0.1722, 0.5504], [0.8613, 0.8280, 0.4014], [0.4418, 0.3124, 0.8945], [0.9245, 0.3836, 0.3858], [0.8278, 0.1518, 0.9496], [0.5582, 0.6876, 0.1055], [0.8280, 0.8613, 0.9014], [0.6164, 0.0755, 0.1142], [0.3124, 0.4418, 0.3945], [0.1387, 0.1720, 0.5986], [0.1722, 0.8482, 0.0504], [0.3292, 0.9017, 0.0347], [0.6708, 0.0983, 0.9653], [0.9017, 0.3292, 0.5347], [0.0983, 0.6708, 0.4653], [0.4661, 0.9157, 0.3478], [0.9157, 0.4661, 0.8478], [0.2541, 0.7459, 0.7500], [0.7459, 0.2541, 0.2500], [0.5339, 0.0843, 0.6522], [0.0843, 0.5339, 0.1522]],
  "magnetic_moment_mub_per_cell": 0.004,
  "volume_a3_per_atom": 21.06,
  "ef_ev_per_atom": -1.666
}



6.
{
  "formula": "Ho2MgSb4O12",
  "functional": "PBE",
  "state": "optimized geometry",
  "lattice": [[5.7557, -0.0509, -0.2532], [-0.0878, 5.7932, -0.0221], [-0.4120, -0.0464, 8.1793]],
  "species": ["Sb", "Sb", "Sb", "Sb", "O", "O", "O", "O", "O", "O", "O", "O", "O", "O", "O", "O", "Ho", "Ho", "Mg"],
  "frac_coords": [[0.0359, 0.5062, 0.9903], [0.4942, 0.0201, 0.5093], [0.5644, 0.0417, 0.9817], [0.0457, 0.4957, 0.5151], [0.2785, 0.7460, 0.9640], [0.3656, 0.9140, 0.2875], [0.9304, 0.5567, 0.7501], [0.2964, 0.7502, 0.5948], [0.7681, 0.8280, 0.4728], [0.8413, 0.8168, 0.0732], [0.6539, 0.0531, 0.7481], [0.7463, 0.3569, 0.0677], [0.2085, 0.1911, 0.5774], [0.2055, 0.4136, 0.2075], [0.6305, 0.3114, 0.4371], [0.1341, 0.1920, 0.9297], [0.5630, 0.5824, 0.2561], [0.0253, 0.9400, 0.7321], [0.1089, 0.0508, 0.1556]],
  "magnetic_moment_mub_per_cell": 0.000,
  "volume_a3_per_atom": 14.32,
  "ef_ev_per_atom": -2.415
}



7.
{
  "formula": "Cu3AsO7",
  "functional": "PBE",
  "state": "optimized geometry",
  "lattice": [[-5.1903, 0.5203, -0.6623], [-0.8885, -3.3306, 4.1281], [-2.2421, 4.2517, 2.9685]],
  "species": ["As", "Cu", "Cu", "Cu", "O", "O", "O", "O", "O", "O", "O"],
  "frac_coords": [[0.0006, 0.9780, 0.0004], [0.3644, 0.4398, 0.1307], [0.3653, 0.4410, 0.6312], [0.3610, 0.9450, 0.3900], [0.0851, 0.8344, 0.7057], [0.1932, 0.2624, 0.9398], [0.6614, 0.0857, 0.1120], [0.2066, 0.2685, 0.4434], [0.5392, 0.5850, 0.8155], [0.5222, 0.6268, 0.3252], [0.0733, 0.8092, 0.2159]],
  "magnetic_moment_mub_per_cell": 0.000,
  "volume_a3_per_atom": 13.31,
  "ef_ev_per_atom": -1.031
}



8.
{
  "formula": "Ba2DyInSe5",
  "functional": "PBE",
  "state": "optimized geometry",
  "lattice": [[4.4395, 8.2776, 2.7585], [-7.7050, -5.4515, -2.5983], [-2.1195, -3.1845, 12.9666]],
  "species": ["Se", "Se", "Se", "Se", "Se", "Se", "Se", "Se", "Se", "Se", "In", "In", "Ba", "Ba", "Ba", "Ba", "Dy", "Dy"],
  "frac_coords": [[0.0505, 0.9495, 0.5508], [0.2910, 0.7090, 0.1568], [0.7090, 0.2910, 0.6568], [0.3129, 0.6871, 0.8697], [0.3562, 0.6438, 0.5005], [0.5050, 0.4950, 0.7659], [0.4950, 0.5050, 0.2659], [0.6438, 0.3562, 0.0005], [0.6871, 0.3129, 0.3697], [0.9495, 0.0505, 0.0508], [0.5524, 0.4476, 0.4370], [0.4476, 0.5524, 0.9370], [0.8675, 0.1325, 0.3137], [0.8828, 0.1172, 0.6813], [0.1172, 0.8828, 0.1813], [0.1325, 0.8675, 0.8137], [0.2113, 0.7887, 0.5179], [0.7887, 0.2113, 0.0179]],
  "magnetic_moment_mub_per_cell": 0.004,
  "volume_a3_per_atom": 30.99,
  "ef_ev_per_atom": -1.881
}